The following is a GGA-PBE calculation of crystalline Rb2HgRuF6 at its relaxed geometry, from the Materials Project.

a b c (Å): 6.860 6.860 6.860
angles (deg): 60.00 60.00 60.00
Sites, in units of the cell vectors:
Rb  0.750  0.750  0.750
Rb  0.250  0.250  0.250
Hg  0.500  0.500  0.500
Ru  0.000  0.000  0.000
F  0.798  0.202  0.202
F  0.202  0.202  0.798
F  0.202  0.798  0.798
F  0.202  0.798  0.202
F  0.798  0.202  0.798
F  0.798  0.798  0.202

Summary:
- Formation enthalpy at 0 K: -2249.5 meV/atom
- Calculated volume: 22.82 Å³/atom
- Uncorrected energy: -4.275 eV/atom